1.
A plane-wave DFT calculation with PBE-GGA was carried out for a relaxed Hf3Mn4Si6 crystal.

a b c (Å): 16.953 16.953 5.031
angles (deg): 90.00 90.00 90.00
Element x y z (fractional)
Si (0.630, 0.749, 0.500)
Hf (0.210, 0.472, 0.000)
Mn (0.345, 0.552, 0.250)
Mn (0.460, 0.885, 0.000)
Si (0.969, 0.938, 0.000)
Si (0.161, 0.339, 0.250)
Mn (0.875, 0.375, 0.750)
Hf (0.101, 0.203, 0.000)
Mn (0.385, 0.960, 0.500)
Si (0.251, 0.630, 0.000)
Si (0.548, 0.776, 0.000)
Hf (0.298, 0.283, 0.000)
Si (0.363, 0.431, 0.000)
Mn (0.845, 0.948, 0.750)
Mn (0.885, 0.540, 0.500)
Si (0.749, 0.370, 0.000)
Hf (0.797, 0.101, 0.500)
Si (0.452, 0.224, 0.000)
Hf (0.399, 0.703, 0.000)
Si (0.069, 0.137, 0.500)
Si (0.469, 0.562, 0.000)
Mn (0.552, 0.655, 0.250)
Hf (0.798, 0.217, 0.000)
Mn (0.625, 0.875, 0.750)
Si (0.565, 0.978, 0.000)
Mn (0.448, 0.345, 0.250)
Si (0.339, 0.839, 0.750)
Mn (0.040, 0.385, 0.000)
Si (0.569, 0.363, 0.500)
Hf (0.710, 0.028, 0.000)
Si (0.839, 0.661, 0.250)
Mn (0.960, 0.615, 0.000)
Si (0.249, 0.130, 0.000)
Mn (0.052, 0.845, 0.750)
Si (0.637, 0.569, 0.000)
Hf (0.783, 0.798, 0.500)
Hf (0.899, 0.797, 0.000)
Hf (0.217, 0.202, 0.500)
Si (0.751, 0.870, 0.000)
Si (0.478, 0.065, 0.500)
Hf (0.203, 0.899, 0.500)
Si (0.062, 0.969, 0.500)
Si (0.065, 0.522, 0.000)
Si (0.562, 0.531, 0.500)
Si (0.839, 0.661, 0.750)
Mn (0.655, 0.448, 0.250)
Hf (0.717, 0.298, 0.500)
Mn (0.948, 0.155, 0.750)
Si (0.531, 0.438, 0.000)
Si (0.161, 0.339, 0.750)
Si (0.130, 0.751, 0.500)
Mn (0.540, 0.115, 0.000)
Si (0.863, 0.069, 0.000)
Hf (0.702, 0.717, 0.000)
Si (0.978, 0.435, 0.500)
Mn (0.052, 0.845, 0.250)
Si (0.022, 0.565, 0.500)
Mn (0.875, 0.375, 0.250)
Si (0.931, 0.863, 0.500)
Si (0.522, 0.935, 0.500)
Hf (0.472, 0.790, 0.500)
Mn (0.115, 0.460, 0.500)
Si (0.137, 0.931, 0.000)
Si (0.952, 0.276, 0.000)
Si (0.938, 0.031, 0.500)
Mn (0.655, 0.448, 0.750)
Mn (0.948, 0.155, 0.250)
Hf (0.703, 0.601, 0.500)
Hf (0.972, 0.710, 0.500)
Hf (0.297, 0.399, 0.500)
Si (0.048, 0.724, 0.000)
Si (0.870, 0.249, 0.500)
Si (0.431, 0.637, 0.500)
Mn (0.375, 0.125, 0.750)
Mn (0.125, 0.625, 0.250)
Mn (0.615, 0.040, 0.500)
Hf (0.290, 0.972, 0.000)
Si (0.661, 0.161, 0.250)
Mn (0.125, 0.625, 0.750)
Si (0.435, 0.022, 0.000)
Si (0.276, 0.048, 0.500)
Mn (0.375, 0.125, 0.250)
Mn (0.155, 0.052, 0.750)
Si (0.339, 0.839, 0.250)
Hf (0.790, 0.528, 0.000)
Si (0.935, 0.478, 0.000)
Mn (0.345, 0.552, 0.750)
Si (0.224, 0.548, 0.500)
Hf (0.283, 0.702, 0.500)
Mn (0.625, 0.875, 0.250)
Hf (0.601, 0.297, 0.000)
Si (0.661, 0.161, 0.750)
Si (0.724, 0.952, 0.500)
Hf (0.202, 0.783, 0.000)
Si (0.370, 0.251, 0.500)
Mn (0.845, 0.948, 0.250)
Hf (0.528, 0.210, 0.500)
Mn (0.448, 0.345, 0.750)
Si (0.031, 0.062, 0.000)
Mn (0.552, 0.655, 0.750)
Si (0.776, 0.452, 0.500)
Si (0.438, 0.469, 0.500)
Hf (0.028, 0.290, 0.500)
Mn (0.155, 0.052, 0.250)

Calculated values
The value obtained for the calculated total energy is -8.2684 eV per atom. The value obtained for the calculated volume is 1445.9 Å³ per cell. The density is 8.49 Mg/m³. Its space group is P4_2/mbc (135). Its total magnetization is 3.4 μB per formula unit.

=====

2.
A plane-wave DFT calculation with PBE-GGA was carried out for a relaxed HfMnSi2 crystal.

a b c (Å): 7.844 8.975 9.777
angles (deg): 90.00 90.00 90.00
Element x y z (fractional)
Si (0.000, 0.111, 0.398)
Si (0.850, 0.334, 0.181)
Si (0.000, 0.611, 0.102)
Hf (0.255, 0.826, 0.049)
Si (0.850, 0.166, 0.681)
Hf (0.745, 0.326, 0.451)
Mn (0.255, 0.500, 0.000)
Si (0.150, 0.334, 0.181)
Si (0.150, 0.166, 0.681)
Mn (0.749, 0.084, 0.247)
Mn (0.251, 0.084, 0.247)
Hf (0.745, 0.674, 0.549)
Mn (0.749, 0.916, 0.753)
Mn (0.745, 0.500, 0.000)
Si (0.150, 0.666, 0.819)
Hf (0.255, 0.674, 0.549)
Mn (0.749, 0.416, 0.747)
Si (0.150, 0.834, 0.319)
Hf (0.500, 0.168, 0.679)
Si (0.000, 0.389, 0.898)
Si (0.000, 0.461, 0.624)
Si (0.850, 0.834, 0.319)
Si (0.500, 0.038, 0.120)
Mn (0.251, 0.916, 0.753)
Si (0.000, 0.039, 0.124)
Si (0.500, 0.538, 0.380)
Hf (0.255, 0.174, 0.951)
Hf (0.745, 0.174, 0.951)
Si (0.500, 0.624, 0.106)
Hf (0.745, 0.826, 0.049)
Mn (0.749, 0.584, 0.253)
Si (0.000, 0.961, 0.876)
Si (0.500, 0.876, 0.606)
Si (0.500, 0.462, 0.620)
Mn (0.255, 0.000, 0.500)
Si (0.500, 0.376, 0.894)
Si (0.500, 0.124, 0.394)
Si (0.000, 0.889, 0.602)
Mn (0.251, 0.416, 0.747)
Mn (0.745, 0.000, 0.500)
Hf (0.255, 0.326, 0.451)
Si (0.000, 0.539, 0.376)
Si (0.850, 0.666, 0.819)
Hf (0.500, 0.832, 0.321)
Hf (0.500, 0.332, 0.179)
Si (0.500, 0.962, 0.880)
Mn (0.251, 0.584, 0.253)
Hf (0.500, 0.668, 0.821)

Calculated values
The value obtained for the calculated total energy is -8.1631 eV per atom. The value obtained for the calculated volume is 688.3 Å³ per cell. The density is 8.38 Mg/m³. Its space group is Pbam (55).

=====

3.
A plane-wave DFT calculation with PBE-GGA was carried out for a relaxed HfMnSi crystal.

a b c (Å): 3.675 6.498 7.577
angles (deg): 90.00 90.00 90.00
Element x y z (fractional)
Hf (0.750, 0.527, 0.821)
Mn (0.250, 0.858, 0.936)
Mn (0.250, 0.358, 0.564)
Si (0.750, 0.774, 0.124)
Si (0.250, 0.726, 0.624)
Hf (0.750, 0.027, 0.679)
Mn (0.750, 0.142, 0.064)
Si (0.250, 0.226, 0.876)
Si (0.750, 0.274, 0.376)
Mn (0.750, 0.642, 0.436)
Hf (0.250, 0.973, 0.321)
Hf (0.250, 0.473, 0.179)

Calculated values
The value obtained for the calculated total energy is -8.8710 eV per atom. The value obtained for the calculated volume is 180.9 Å³ per cell. The density is 9.60 Mg/m³. Its space group is Pnma (62).

=====

4.
A plane-wave DFT calculation with PBE-GGA was carried out for a relaxed Hf8MnTe6 crystal.

a b c (Å): 3.749 7.700 26.094
angles (deg): 90.00 90.00 90.00
Element x y z (fractional)
Hf (0.000, 0.763, 0.933)
Te (0.500, 0.848, 0.418)
Hf (0.000, 0.559, 0.198)
Te (0.000, 0.199, 0.656)
Hf (0.500, 0.038, 0.000)
Hf (0.500, 0.237, 0.567)
Te (0.000, 0.721, 0.702)
Te (0.000, 0.152, 0.918)
Hf (0.500, 0.237, 0.433)
Te (0.500, 0.801, 0.156)
Te (0.000, 0.721, 0.298)
Te (0.000, 0.152, 0.082)
Hf (0.000, 0.553, 0.599)
Hf (0.000, 0.428, 0.000)
Te (0.500, 0.848, 0.582)
Te (0.500, 0.279, 0.798)
Hf (0.500, 0.441, 0.698)
Hf (0.000, 0.553, 0.401)
Te (0.000, 0.199, 0.344)
Mn (0.500, 0.681, 0.000)
Hf (0.500, 0.572, 0.500)
Hf (0.000, 0.962, 0.500)
Hf (0.500, 0.447, 0.901)
Hf (0.000, 0.559, 0.802)
Te (0.500, 0.801, 0.844)
Hf (0.500, 0.447, 0.099)
Hf (0.500, 0.441, 0.302)
Te (0.500, 0.279, 0.202)
Hf (0.000, 0.763, 0.067)
Mn (0.000, 0.319, 0.500)

Calculated values
The value obtained for the calculated total energy is -7.7891 eV per atom. The value obtained for the calculated volume is 753.2 Å³ per cell. The density is 9.91 Mg/m³. Its space group is Pmmn (59). Its total magnetization is 0.0 μB per formula unit.

=====

5.
A plane-wave DFT calculation with PBE-GGA was carried out for a relaxed HfMnTl crystal.

a b c (Å): 4.572 4.572 4.572
angles (deg): 60.00 60.00 60.00
Element x y z (fractional)
Tl (0.000, 0.000, 0.000)
Mn (0.500, 0.500, 0.500)
Hf (0.250, 0.250, 0.250)

Calculated values
The value obtained for the calculated total energy is -6.2434 eV per atom. The value obtained for the calculated volume is 67.6 Å³ per cell. The density is 10.76 Mg/m³. Its space group is F-43m (216). Its total magnetization is 3.5 μB per formula unit.

=====

6.
A plane-wave DFT calculation with PBE-GGA was carried out for a relaxed Hf9NiMo4 crystal.

a b c (Å): 8.419 8.711 8.711
angles (deg): 119.97 90.00 90.00
Element x y z (fractional)
Hf (0.557, 0.800, 0.600)
Mo (0.750, 0.112, 0.888)
Hf (0.750, 0.458, 0.916)
Hf (0.943, 0.800, 0.200)
Hf (0.250, 0.916, 0.458)
Hf (0.943, 0.800, 0.600)
Hf (0.557, 0.400, 0.200)
Hf (0.750, 0.084, 0.542)
Hf (0.057, 0.200, 0.800)
Hf (0.250, 0.542, 0.458)
Mo (0.250, 0.888, 0.112)
Mo (0.250, 0.223, 0.112)
Hf (0.557, 0.800, 0.200)
Mo (0.500, 0.000, 0.000)
Hf (0.057, 0.200, 0.400)
Hf (0.250, 0.542, 0.084)
Hf (0.057, 0.600, 0.800)
Hf (0.943, 0.400, 0.200)
Hf (0.443, 0.600, 0.800)
Hf (0.443, 0.200, 0.800)
Mo (0.250, 0.888, 0.777)
Mo (0.750, 0.777, 0.888)
Ni (0.250, 0.333, 0.667)
Hf (0.750, 0.458, 0.542)
Mo (0.750, 0.112, 0.223)
Ni (0.750, 0.667, 0.333)
Hf (0.443, 0.200, 0.400)
Mo (0.000, 0.000, 0.000)

Calculated values
The value obtained for the calculated total energy is -10.1061 eV per atom. The value obtained for the calculated volume is 553.5 Å³ per cell. The density is 12.29 Mg/m³. Its space group is P6_3/mmc (194). Its total magnetization is 0.0 μB per formula unit.